Below is crystalline Ba6MgNb2IrCl2O12 at its relaxed geometry, with properties calculated at the GGA-PBE level.

a b c (Å): 5.9623 6.2605 15.3068
angles (deg): 96.97 90.30 118.27
Space group P-1 (No. 2)
Symmetry-distinct sites (fractional):
1 Ba 0.0850 0.1829 0.2224 (multiplicity 2)
2 Ba 0.2284 0.4467 0.6386 (multiplicity 2)
3 Ba 0.2496 0.4885 0.8953 (multiplicity 2)
4 Mg 0.0000 0.0000 0.0000 (multiplicity 1)
5 Nb 0.4060 0.8249 0.1804 (multiplicity 2)
6 Ir 0.5000 0.0000 0.0000 (multiplicity 1)
7 Cl 0.1740 0.3429 0.4268 (multiplicity 2)
8 O 0.1223 0.7338 0.2515 (multiplicity 2)
9 O 0.2053 0.9341 0.0855 (multiplicity 2)
10 O 0.2522 0.5008 0.1012 (multiplicity 2)
11 O 0.2798 0.0620 0.9191 (multiplicity 2)
12 O 0.3791 0.2559 0.7513 (multiplicity 2)
13 O 0.4057 0.8120 0.7719 (multiplicity 2)

**Relative energy among the computed polymorphs**: 0 meV per atom

---

Below is crystalline PbC4O4 at its relaxed geometry, with properties calculated at the GGA-PBE level.

a b c (Å): 7.4730 7.4730 10.3429
angles (deg): 90.00 90.00 90.00
Space group I4_1/amd (No. 141, origin choice 2)
Symmetry-distinct sites (fractional):
1 Pb 0.0000 0.2500 0.3750 (multiplicity 4)
2 C 0.0000 0.2500 0.0742 (multiplicity 8)
3 C 0.0000 0.2500 0.8161 (multiplicity 8)
4 O 0.0000 0.1007 0.6164 (multiplicity 16)

---

Below is crystalline CuCl at its relaxed geometry, with properties calculated at the GGA-PBE level.

a b c (Å): 5.4046 5.4046 5.4046
angles (deg): 90.00 90.00 90.00
Space group F-43m (No. 216)
Symmetry-distinct sites (fractional):
1 Cu 0.0000 0.0000 0.0000 (multiplicity 4)
2 Cl 0.2500 0.2500 0.2500 (multiplicity 4)

**Maximum piezoelectric response**: 0.51 C/m2

---

Below is crystalline ScB2C2 at its relaxed geometry, with properties calculated at the GGA-PBE level.

a b c (Å): 5.2840 10.2032 3.4512
angles (deg): 90.00 90.00 90.00
Space group Pbam (No. 55)
Symmetry-distinct sites (fractional):
1 Sc 0.1372 0.1486 0.0000 (multiplicity 4)
2 B 0.0138 0.6890 0.5000 (multiplicity 4)
3 B 0.1440 0.9645 0.5000 (multiplicity 4)
4 C 0.1074 0.5446 0.5000 (multiplicity 4)
5 C 0.2037 0.8092 0.5000 (multiplicity 4)

---

Below is crystalline InCuO3 at its relaxed geometry, with properties calculated at the GGA-PBE level.

a b c (Å): 3.7873 3.7873 3.7873
angles (deg): 90.00 90.00 90.00
Space group Pm-3m (No. 221)
Symmetry-distinct sites (fractional):
1 In 0.0000 0.0000 0.0000 (multiplicity 1)
2 Cu 0.5000 0.5000 0.5000 (multiplicity 1)
3 O 0.0000 0.5000 0.5000 (multiplicity 3)

---

Below is crystalline CsAgSb4S7 at its relaxed geometry, with properties calculated at the GGA-PBE level.

a b c (Å): 26.4625 8.9806 12.5395
angles (deg): 90.00 97.22 90.00
Space group C2/c (No. 15)
Symmetry-distinct sites (fractional):
1 Cs 0.0000 0.1645 0.2500 (multiplicity 4)
2 Cs 0.2500 0.2500 0.0000 (multiplicity 4)
3 Ag 0.2421 0.1014 0.3129 (multiplicity 8)
4 Sb 0.0732 0.4461 0.5763 (multiplicity 8)
5 Sb 0.0796 0.2071 0.8746 (multiplicity 8)
6 Sb 0.1415 0.0857 0.5614 (multiplicity 8)
7 Sb 0.1478 0.3970 0.3238 (multiplicity 8)
8 S 0.0387 0.4730 0.8901 (multiplicity 8)
9 S 0.0505 0.1781 0.5484 (multiplicity 8)
10 S 0.1097 0.1937 0.0677 (multiplicity 8)
11 S 0.1486 0.0520 0.3695 (multiplicity 8)
12 S 0.1510 0.3214 0.7940 (multiplicity 8)
13 S 0.1642 0.4025 0.5260 (multiplicity 8)
14 S 0.2385 0.3852 0.3040 (multiplicity 8)

---

One value per record, in order, for formation energy from the elements: -2.805 -0.973 -0.685 -0.458 -0.907 -0.656 eV/atom.